Material: TiSF
Method: DFT, PBE
State: relaxed Values from VASP.

Properties
Total moment in μB/f.u.: 1.00
DFT formation energy in eV per atom: -2.39
SG: Pnma (62)

Geometry as Quantum ESPRESSO input:
```
&SYSTEM
  ibrav = 0, nat = 36, ntyp = 3
/
ATOMIC_SPECIES
Ti 47.87 Ti.upf
S 32.06 S.upf
F 19.00 F.upf
CELL_PARAMETERS angstrom
3.6022 0.0000 0.0000
0.0000 8.9997 0.0000
0.0000 0.0000 16.6544
ATOMIC_POSITIONS crystal
Ti 0.7500 0.9193 0.0803
Ti 0.7500 0.4193 0.4197
Ti 0.2500 0.0807 0.9197
Ti 0.2500 0.5807 0.5803
Ti 0.7500 0.9204 0.4156
Ti 0.7500 0.4204 0.0844
Ti 0.2500 0.0796 0.5844
Ti 0.2500 0.5796 0.9156
Ti 0.7500 0.7276 0.7402
Ti 0.7500 0.2276 0.7598
Ti 0.2500 0.2724 0.2598
Ti 0.2500 0.7724 0.2402
S 0.7500 0.6766 0.1492
S 0.7500 0.1766 0.3508
S 0.2500 0.3234 0.8508
S 0.2500 0.8234 0.6492
S 0.7500 0.6643 0.4860
S 0.7500 0.1643 0.0140
S 0.2500 0.3357 0.5140
S 0.2500 0.8357 0.9860
S 0.7500 0.9929 0.8266
S 0.7500 0.4929 0.6734
S 0.2500 0.0071 0.1734
S 0.2500 0.5071 0.3266
F 0.7500 0.0661 0.5191
F 0.7500 0.5661 0.9809
F 0.2500 0.9339 0.4809
F 0.2500 0.4339 0.0191
F 0.7500 0.0930 0.6537
F 0.7500 0.5930 0.8463
F 0.2500 0.9070 0.3463
F 0.2500 0.4070 0.1537
F 0.7500 0.7763 0.3026
F 0.7500 0.2763 0.1974
F 0.2500 0.2237 0.6974
F 0.2500 0.7237 0.8026
```

---

Material: Na8Ti3ZnSi4P2O24
Method: DFT, PBE
State: relaxed Values from VASP.

Properties
Total moment in μB/f.u.: 0.00
DFT formation energy in eV per atom: -2.86
SG: P1 (1)

Geometry as Quantum ESPRESSO input:
```
&SYSTEM
  ibrav = 0, nat = 126, ntyp = 6
/
ATOMIC_SPECIES
Na 22.99 Na.upf
Ti 47.87 Ti.upf
Zn 65.41 Zn.upf
Si 28.09 Si.upf
P 30.97 P.upf
O 16.00 O.upf
CELL_PARAMETERS angstrom
9.0080 -0.0082 -0.0090
-4.5111 7.7995 0.0059
-0.0234 0.0040 22.0207
ATOMIC_POSITIONS crystal
Na 0.6358 0.0101 0.2446
Na 0.3751 0.3628 0.2443
Na 0.9888 0.6268 0.2443
Na 0.6294 0.6199 0.7469
Na 0.9893 0.3695 0.7489
Na 0.3810 0.0088 0.7458
Na 0.3055 0.3346 0.5862
Na 0.0321 0.6983 0.5838
Na 0.6633 0.9707 0.5866
Na 0.3086 0.9687 0.0842
Na 0.6602 0.6916 0.0842
Na 0.0314 0.3395 0.0841
Na 0.9642 0.6651 0.9172
Na 0.7017 0.0374 0.9172
Na 0.3340 0.2978 0.9169
Na 0.9634 0.2890 0.4145
Na 0.3221 0.0346 0.4145
Na 0.7119 0.6753 0.4128
Na 0.0034 0.0005 0.4970
Na 0.0011 0.0011 0.9983
Na 0.6687 0.3333 0.8306
Na 0.6675 0.3340 0.3295
Na 0.3344 0.6677 0.1636
Na 0.3367 0.6701 0.6681
Ti 0.9927 0.9952 0.8535
Ti 0.9966 0.9886 0.6481
Ti 0.9998 0.9990 0.1438
Ti 0.6670 0.3335 0.9822
Ti 0.6615 0.3414 0.4821
Ti 0.3331 0.6663 0.0181
Ti 0.3314 0.6672 0.5189
Ti 0.3277 0.6592 0.3160
Ti 0.3347 0.6726 0.8155
Zn 0.0052 0.0003 0.3510
Zn 0.6659 0.3315 0.6834
Zn 0.6665 0.3331 0.1760
Si 0.0020 0.7085 0.7515
Si 0.7082 0.9974 0.7502
Si 0.3748 0.0407 0.5845
Si 0.6641 0.6266 0.5853
Si 0.9609 0.6249 0.0846
Si 0.6645 0.0393 0.0846
Si 0.3750 0.3355 0.0844
Si 0.6220 0.6647 0.9163
Si 0.0430 0.3769 0.9160
Si 0.3342 0.9592 0.9170
Si 0.3344 0.3767 0.4177
Si 0.0389 0.6621 0.4174
P 0.2926 0.9983 0.2515
P 0.7073 0.7102 0.2519
P 0.0016 0.2915 0.2519
P 0.2832 0.2873 0.7510
P 0.9592 0.3348 0.5830
P 0.6181 0.9560 0.4169
O 0.2141 0.0251 0.3090
O 0.8129 0.7909 0.3094
O 0.9761 0.1862 0.3094
O 0.1924 0.1754 0.8076
O 0.9807 0.8115 0.8095
O 0.8313 0.0211 0.8095
O 0.8071 0.9709 0.6907
O 0.1717 0.1998 0.6929
O 0.0325 0.8337 0.6909
O 0.7988 0.8261 0.1947
O 0.0291 0.2036 0.1949
O 0.1750 0.9717 0.1947
O 0.8915 0.3744 0.6400
O 0.4928 0.1101 0.6439
O 0.6203 0.5082 0.6440
O 0.8915 0.5121 0.1451
O 0.6209 0.1087 0.1450
O 0.4884 0.3798 0.1449
O 0.4653 0.2971 0.0255
O 0.8322 0.5348 0.0255
O 0.7031 0.1683 0.0256
O 0.4733 0.1695 0.5249
O 0.7001 0.5336 0.5252
O 0.8419 0.3053 0.5264
O 0.5332 0.6997 0.9750
O 0.1667 0.4680 0.9749
O 0.3002 0.8338 0.9751
O 0.5295 0.8429 0.4734
O 0.3139 0.4784 0.4755
O 0.1644 0.6890 0.4753
O 0.1394 0.6352 0.3579
O 0.5033 0.8674 0.3597
O 0.3677 0.5037 0.3577
O 0.1357 0.5020 0.8567
O 0.3674 0.8663 0.8576
O 0.4985 0.6337 0.8569
O 0.0184 0.8292 0.4150
O 0.7962 0.9741 0.4140
O 0.1652 0.1904 0.4153
O 0.0251 0.1870 0.9112
O 0.1641 0.9791 0.9111
O 0.8136 0.8373 0.9116
O 0.9779 0.1719 0.5867
O 0.1852 0.0279 0.5875
O 0.8403 0.8181 0.5876
O 0.9770 0.8173 0.0907
O 0.8406 0.0230 0.0909
O 0.1824 0.1595 0.0908
O 0.6914 0.1666 0.7495
O 0.4607 0.3051 0.7495
O 0.8315 0.5238 0.7489
O 0.6831 0.5292 0.2475
O 0.8463 0.3179 0.2474
O 0.4736 0.1558 0.2468
O 0.6409 0.4939 0.9220
O 0.8536 0.3596 0.9220
O 0.5073 0.1476 0.9220
O 0.6326 0.1346 0.4212
O 0.5113 0.3642 0.4219
O 0.8533 0.4830 0.4216
O 0.3466 0.5000 0.0749
O 0.1538 0.6535 0.0751
O 0.5000 0.8463 0.0749
O 0.3460 0.8461 0.5743
O 0.4990 0.6545 0.5746
O 0.1437 0.4943 0.5748
O 0.3048 0.8293 0.2544
O 0.5264 0.6992 0.2540
O 0.1726 0.4743 0.2548
O 0.2964 0.4663 0.7538
O 0.1787 0.6975 0.7542
O 0.5214 0.8187 0.7540
```

---

Material: Cr2FeSeS3
Method: DFT, PBE
State: relaxed Values from VASP.

Properties
Total moment in μB/f.u.: 4.00
Energy above the lowest structure with this stoichiometry in meV per atom: 0
DFT formation energy in eV per atom: -0.75
SG: Imm2 (44)

Geometry as Quantum ESPRESSO input:
```
&SYSTEM
  ibrav = 0, nat = 14, ntyp = 4
/
ATOMIC_SPECIES
Cr 52.00 Cr.upf
Fe 55.84 Fe.upf
Se 78.96 Se.upf
S 32.06 S.upf
CELL_PARAMETERS angstrom
-3.5863 3.5961 5.0561
3.5863 -3.5961 5.0561
3.5863 3.5961 -5.0561
ATOMIC_POSITIONS crystal
Cr 0.2439 0.4949 0.7490
Cr 0.7459 0.4949 0.2510
Cr 0.7495 0.4909 0.7414
Cr 0.7495 0.0082 0.2586
Fe 0.3913 0.8913 0.5000
Fe 0.1210 0.1210 0.0000
Se 0.9822 0.7440 0.2382
Se 0.5058 0.7440 0.7618
S 0.5107 0.7391 0.2285
S 0.5107 0.2822 0.7715
S 0.5201 0.2561 0.2640
S 0.9920 0.2561 0.7360
S 0.9886 0.2587 0.2701
S 0.9886 0.7185 0.7299
```

---

Material: NdAsPd
Method: DFT, PBE
State: relaxed Values from VASP.

Properties
DFT formation energy in eV per atom: -1.18
SG: P6_3/mmc (194)

Geometry as Quantum ESPRESSO input:
```
&SYSTEM
  ibrav = 0, nat = 6, ntyp = 3
/
ATOMIC_SPECIES
Nd 144.24 Nd.upf
As 74.92 As.upf
Pd 106.42 Pd.upf
CELL_PARAMETERS angstrom
-2.1941 -3.8003 0.0000
-2.1941 3.8003 0.0000
0.0000 0.0000 -7.8491
ATOMIC_POSITIONS crystal
Nd 0.0000 0.0000 0.5000
Nd 0.0000 0.0000 0.0000
As 0.6667 0.3333 0.7500
As 0.3333 0.6667 0.2500
Pd 0.3333 0.6667 0.7500
Pd 0.6667 0.3333 0.2500
```

---

Material: TbAsSe
Method: DFT, PBE
State: relaxed Values from VASP.

Properties
DFT formation energy in eV per atom: -1.60
SG: Pnma (62)

Geometry as Quantum ESPRESSO input:
```
&SYSTEM
  ibrav = 0, nat = 12, ntyp = 3
/
ATOMIC_SPECIES
Tb 158.93 Tb.upf
As 74.92 As.upf
Se 78.96 Se.upf
CELL_PARAMETERS angstrom
-3.8988 -0.2744 -0.3301
0.4311 -2.3091 -3.1725
0.1235 -14.2485 10.3876
ATOMIC_POSITIONS crystal
Tb 0.7500 0.7301 0.6394
Tb 0.2500 0.2699 0.3606
Tb 0.7500 0.7699 0.1394
Tb 0.2500 0.2301 0.8606
As 0.2500 0.7133 0.9980
As 0.7500 0.2867 0.0020
As 0.2500 0.7867 0.4980
As 0.7500 0.2133 0.5020
Se 0.7500 0.7313 0.8123
Se 0.2500 0.2687 0.1877
Se 0.7500 0.7687 0.3123
Se 0.2500 0.2313 0.6877
```

---

Material: Sr2Ca2Cu3BiO8
Method: DFT, PBE
State: relaxed Values from VASP.

Properties
Total moment in μB/f.u.: 0.00
DFT formation energy in eV per atom: -2.03
SG: P-1 (2)

Geometry as Quantum ESPRESSO input:
```
&SYSTEM
  ibrav = 0, nat = 16, ntyp = 5
/
ATOMIC_SPECIES
Sr 87.62 Sr.upf
Ca 40.08 Ca.upf
Cu 63.55 Cu.upf
Bi 208.98 Bi.upf
O 16.00 O.upf
CELL_PARAMETERS angstrom
4.6806 0.0058 4.6846
2.3423 5.8113 2.3424
-1.7640 0.0015 6.4481
ATOMIC_POSITIONS crystal
Sr 0.0000 0.0000 0.0000
Sr 0.5000 0.0000 0.0000
Ca 0.0000 0.5000 0.5000
Ca 0.5000 0.5000 0.5000
Cu 0.0000 0.5000 0.0000
Cu 0.5000 0.0000 0.5000
Cu 0.0000 0.0000 0.5000
Bi 0.5000 0.5000 0.0000
O 0.4931 0.2351 0.2780
O 0.2425 0.2627 0.7512
O 0.2292 0.7650 0.2780
O 0.0059 0.7397 0.7489
O 0.9941 0.2603 0.2511
O 0.7707 0.2350 0.7220
O 0.7575 0.7374 0.2488
O 0.5069 0.7649 0.7219
```

---

Material: Sr2YIrO6
Method: DFT, PBE
State: relaxed Values from VASP.

Properties
Total moment in μB/f.u.: 2.00
DFT formation energy in eV per atom: -2.77
SG: P2_1/c (14)

Geometry as Quantum ESPRESSO input:
```
&SYSTEM
  ibrav = 0, nat = 20, ntyp = 4
/
ATOMIC_SPECIES
Sr 87.62 Sr.upf
Y 88.91 Y.upf
Ir 192.22 Ir.upf
O 16.00 O.upf
CELL_PARAMETERS angstrom
5.8799 0.0000 0.0000
0.0000 5.8249 0.0000
0.0000 5.7692 8.2704
ATOMIC_POSITIONS crystal
Sr 0.9641 0.7413 0.2508
Sr 0.4641 0.2587 0.2492
Sr 0.0359 0.2587 0.7492
Sr 0.5359 0.7413 0.7508
Y 0.5000 0.0000 0.0000
Y 0.0000 0.0000 0.5000
Ir 0.0000 0.5000 0.0000
Ir 0.5000 0.5000 0.5000
O 0.5181 0.8072 0.2652
O 0.0181 0.1928 0.2348
O 0.4819 0.1928 0.7348
O 0.9819 0.8072 0.7652
O 0.7722 0.6570 0.5394
O 0.2722 0.3430 0.9606
O 0.2278 0.3430 0.4606
O 0.7278 0.6570 0.0394
O 0.1996 0.7339 0.0375
O 0.6996 0.2661 0.4625
O 0.8004 0.2661 0.9625
O 0.3004 0.7339 0.5375
```

---

Material: Lu3Mg2TiS8
Method: DFT, PBE
State: relaxed Values from VASP.

Properties
Total moment in μB/f.u.: 1.00
DFT formation energy in eV per atom: -2.02
SG: R-3m (166)

Geometry as Quantum ESPRESSO input:
```
&SYSTEM
  ibrav = 0, nat = 14, ntyp = 4
/
ATOMIC_SPECIES
Lu 174.97 Lu.upf
Mg 24.30 Mg.upf
Ti 47.87 Ti.upf
S 32.06 S.upf
CELL_PARAMETERS angstrom
6.6809 -0.0005 3.8569
2.2265 6.1892 3.8569
0.0001 0.0000 7.7138
ATOMIC_POSITIONS crystal
Lu 0.5000 0.5000 0.5000
Lu 0.5000 0.5000 0.0000
Lu 0.0000 0.5000 0.5000
Mg 0.8752 0.8744 0.8752
Mg 0.1248 0.1256 0.1248
Ti 0.5000 0.0000 0.5000
S 0.7353 0.7583 0.7354
S 0.2647 0.2417 0.7290
S 0.2557 0.7325 0.2559
S 0.7290 0.2416 0.2647
S 0.7443 0.2675 0.7441
S 0.2710 0.7584 0.7353
S 0.2647 0.2417 0.2646
S 0.7353 0.7583 0.2710
```

---

Material: Rb2LaMgNb2O8
Method: DFT, PBE
State: relaxed Values from VASP.

Properties
Total moment in μB/f.u.: 0.00
Energy above the lowest structure with this stoichiometry in meV per atom: 0
DFT formation energy in eV per atom: -2.80
SG: Pmm2 (25)

Geometry as Quantum ESPRESSO input:
```
&SYSTEM
  ibrav = 0, nat = 14, ntyp = 5
/
ATOMIC_SPECIES
Rb 85.47 Rb.upf
La 138.91 La.upf
Mg 24.30 Mg.upf
Nb 92.91 Nb.upf
O 16.00 O.upf
CELL_PARAMETERS angstrom
3.8999 0.0000 0.0000
0.0000 4.0138 0.0000
0.0000 0.0000 16.9972
ATOMIC_POSITIONS crystal
Rb 0.0000 0.0000 0.7028
Rb 0.0000 0.0000 0.2865
La 0.0000 0.0000 0.9943
Mg 0.0000 0.5000 0.4940
Nb 0.5000 0.5000 0.8634
Nb 0.5000 0.5000 0.1253
O 0.5000 0.5000 0.4931
O 0.5000 0.5000 0.7543
O 0.5000 0.5000 0.2343
O 0.5000 0.5000 0.9943
O 0.5000 0.0000 0.8852
O 0.0000 0.5000 0.8872
O 0.5000 0.0000 0.1033
O 0.0000 0.5000 0.1016
```

---

Material: Y2Ge5Rh3
Method: DFT, PBE
State: relaxed Values from VASP.

Properties
Total moment in μB/f.u.: 0.00
DFT formation energy in eV per atom: -0.79
SG: C2/c (15)

Geometry as Quantum ESPRESSO input:
```
&SYSTEM
  ibrav = 0, nat = 20, ntyp = 3
/
ATOMIC_SPECIES
Y 88.91 Y.upf
Ge 72.64 Ge.upf
Rh 102.91 Rh.upf
CELL_PARAMETERS angstrom
6.0421 5.7868 0.0000
-6.0421 5.7868 0.0000
0.0000 2.8880 5.2061
ATOMIC_POSITIONS crystal
Y 0.8650 0.5925 0.7672
Y 0.4075 0.1350 0.7328
Y 0.1350 0.4075 0.2328
Y 0.5925 0.8650 0.2672
Ge 0.0703 0.2629 0.8334
Ge 0.7371 0.9297 0.6666
Ge 0.9297 0.7371 0.1666
Ge 0.2629 0.0703 0.3334
Ge 0.2132 0.7868 0.7500
Ge 0.7868 0.2132 0.2500
Ge 0.5072 0.4928 0.7500
Ge 0.4928 0.5072 0.2500
Ge 0.7777 0.2223 0.7500
Ge 0.2223 0.7777 0.2500
Rh 0.2550 0.5396 0.6169
Rh 0.4604 0.7450 0.8831
Rh 0.7450 0.4604 0.3831
Rh 0.5396 0.2550 0.1169
Rh 0.0015 0.9985 0.7500
Rh 0.9985 0.0015 0.2500
```

---

Material: CsRb2AsCl6
Method: DFT, PBE
State: relaxed Values from VASP.

Properties
Total moment in μB/f.u.: 0.00
DFT formation energy in eV per atom: -1.77
SG: Fm-3m (225)

Geometry as Quantum ESPRESSO input:
```
&SYSTEM
  ibrav = 0, nat = 10, ntyp = 4
/
ATOMIC_SPECIES
Cs 132.91 Cs.upf
Rb 85.47 Rb.upf
As 74.92 As.upf
Cl 35.45 Cl.upf
CELL_PARAMETERS angstrom
0.0000 5.7495 5.7495
5.7495 0.0000 5.7495
5.7495 5.7495 0.0000
ATOMIC_POSITIONS crystal
Cs 0.5000 0.5000 0.5000
Rb 0.7500 0.7500 0.7500
Rb 0.2500 0.2500 0.2500
As 0.0000 0.0000 0.0000
Cl 0.7815 0.2185 0.2185
Cl 0.2185 0.2185 0.7815
Cl 0.2185 0.7815 0.7815
Cl 0.2185 0.7815 0.2185
Cl 0.7815 0.2185 0.7815
Cl 0.7815 0.7815 0.2185
```

---

Material: Eu2CuTe2S2O14
Method: DFT, PBE
State: relaxed Values from VASP.

Properties
Total moment in μB/f.u.: 13.00
DFT formation energy in eV per atom: -2.11
SG: P-1 (2)

Geometry as Quantum ESPRESSO input:
```
&SYSTEM
  ibrav = 0, nat = 21, ntyp = 5
/
ATOMIC_SPECIES
Eu 151.96 Eu.upf
Cu 63.55 Cu.upf
Te 127.60 Te.upf
S 32.06 S.upf
O 16.00 O.upf
CELL_PARAMETERS angstrom
-3.0460 3.5270 -2.3414
-6.1728 -1.0784 5.1857
-1.4255 5.9283 5.8890
ATOMIC_POSITIONS crystal
Eu 0.9233 0.7472 0.9882
Eu 0.0767 0.2528 0.0118
Cu 0.0000 0.0000 0.5000
Te 0.4868 0.7333 0.6412
Te 0.5132 0.2667 0.3588
S 0.2504 0.7459 0.2559
S 0.7496 0.2541 0.7441
O 0.1343 0.5851 0.2523
O 0.8657 0.4149 0.7477
O 0.1384 0.7482 0.4338
O 0.8616 0.2518 0.5662
O 0.5433 0.7349 0.2252
O 0.4567 0.2651 0.7748
O 0.1804 0.9183 0.0981
O 0.8196 0.0817 0.9019
O 0.2714 0.5721 0.8804
O 0.7286 0.4279 0.1196
O 0.7387 0.8274 0.7183
O 0.2613 0.1726 0.2817
O 0.2519 0.9345 0.6407
O 0.7481 0.0655 0.3593
```

---

Material: SrTl3O5
Method: DFT, PBE
State: relaxed Values from VASP.

Properties
Total moment in μB/f.u.: 0.00
DFT formation energy in eV per atom: -1.51
SG: Cmcm (63)

Geometry as Quantum ESPRESSO input:
```
&SYSTEM
  ibrav = 0, nat = 18, ntyp = 3
/
ATOMIC_SPECIES
Sr 87.62 Sr.upf
Tl 204.38 Tl.upf
O 16.00 O.upf
CELL_PARAMETERS angstrom
-3.1628 2.4653 4.5434
1.2187 -5.0435 -3.1307
10.4540 -3.0024 8.9065
ATOMIC_POSITIONS crystal
Sr 0.4694 0.5306 0.2500
Sr 0.5306 0.4694 0.7500
Tl 0.0000 0.0000 0.0000
Tl 0.0000 0.0000 0.5000
Tl 0.7255 0.2745 0.1107
Tl 0.2745 0.7255 0.8893
Tl 0.2745 0.7255 0.6107
Tl 0.7255 0.2745 0.3893
O 0.9173 0.0827 0.6418
O 0.0827 0.9173 0.3582
O 0.0827 0.9173 0.1418
O 0.9173 0.0827 0.8582
O 0.8171 0.1829 0.2500
O 0.1829 0.8171 0.7500
O 0.6448 0.3552 0.5435
O 0.3552 0.6448 0.4565
O 0.3552 0.6448 0.0435
O 0.6448 0.3552 0.9565
```